VASP calculation (PBE) on crystalline NaInGe4O12 at its relaxed geometry.

Computed properties:
**Formation energy from the elements**: -2675 kJ/mol of formula units
**V**: 11.4 A^3/atom
**Raw total energy**: -5.634 eV per atom

a b c (Å): 7.4208 7.3717 7.5080
angles (deg): 90.00 90.00 90.00
Last column: nearest neighbours and their distance in Å.
Space group Amm2 (No. 38)
One atom of each set of equivalent atoms:
Na 0.0000 0.0000 0.0000 x2  4 O 2.23-2.26
In 0.5000 0.0000 0.4674 x2  8 O 2.24-2.39
Ge 0.2435 0.2453 0.7318 x8  6 O 1.84-1.95
O 0.0000 0.2071 0.2227 x4  2 Ge 1.84
O 0.2046 0.0000 0.7820 x4  2 Ge 1.87
O 0.2755 0.2033 0.4809 x8  2 Ge 1.92
O 0.3079 0.0000 0.2110 x4  2 Ge 1.94
O 0.5000 0.1883 0.7224 x4  2 Ge 1.95